--- one ---
The following is a DFT calculation (GGA+U) of Li8V3P8O29 after structural relaxation.

a = 9.9010 Å, b = 9.9010 Å, c = 13.8311 Å
α = 90.17°, β = 90.17°, γ = 59.81°
Positions (direct):
1 Li 0.0293 0.3050 0.1834
2 Li 0.1636 0.1636 0.6873
3 Li 0.1637 0.7362 0.1851
4 Li 0.2557 0.4099 0.8683
5 Li 0.2603 0.4069 0.3677
6 Li 0.2638 0.8363 0.8149
7 Li 0.5901 0.7443 0.1317
8 Li 0.5931 0.7397 0.6323
9 Li 0.6035 0.1664 0.1841
10 Li 0.6068 0.2993 0.6884
11 Li 0.6950 0.9707 0.8166
12 Li 0.7007 0.3932 0.3116
13 Li 0.8336 0.3965 0.8159
14 Li 0.8364 0.8364 0.3127
15 Li 0.9509 0.0044 0.7458
16 Li 0.9956 0.0491 0.2542
17 V 0.3645 0.6355 0.0000
18 V 0.3666 0.0660 0.4949
19 V 0.4936 0.0703 0.0011
20 V 0.4937 0.5063 0.5000
21 V 0.9297 0.5064 0.9989
22 V 0.9340 0.6334 0.5051
23 P 0.0176 0.7585 0.9070
24 P 0.0210 0.2966 0.4065
25 P 0.1527 0.7553 0.4063
26 P 0.1587 0.1590 0.9037
27 P 0.2414 0.9824 0.0930
28 P 0.2447 0.8473 0.5937
29 P 0.2635 0.4043 0.1264
30 P 0.2657 0.3954 0.6237
31 P 0.5957 0.7365 0.8736
32 P 0.6046 0.7343 0.3763
33 P 0.6111 0.2972 0.9057
34 P 0.6123 0.1588 0.4062
35 P 0.7028 0.3889 0.0943
36 P 0.7034 0.9790 0.5935
37 P 0.8412 0.3877 0.5938
38 P 0.8410 0.8413 0.0963
39 O 0.0070 0.7366 0.4125
40 O 0.0088 0.3186 0.9050
41 O 0.0312 0.4469 0.4173
42 O 0.0337 0.5956 0.9125
43 O 0.1156 0.5397 0.5772
44 O 0.1183 0.3977 0.0864
45 O 0.1366 0.0821 0.1742
46 O 0.1421 0.8579 0.5000
47 O 0.1475 0.8425 0.3166
48 O 0.1498 0.0606 0.9928
49 O 0.1575 0.8525 0.6834
50 O 0.1667 0.0682 0.8125
51 O 0.1809 0.7403 0.9042
52 O 0.1855 0.1540 0.4093
53 O 0.2559 0.3914 0.7311
54 O 0.2561 0.5562 0.0887
55 O 0.2605 0.4041 0.2363
56 O 0.2597 0.8191 0.0958
57 O 0.2634 0.9930 0.5875
58 O 0.2666 0.2475 0.5794
59 O 0.2989 0.5914 0.4175
60 O 0.3006 0.1821 0.9164
61 O 0.4044 0.9663 0.0875
62 O 0.4086 0.7011 0.5825
63 O 0.4132 0.3974 0.5884
64 O 0.4158 0.2592 0.0886
65 O 0.4438 0.7439 0.9113
66 O 0.4457 0.4401 0.9164
67 O 0.4466 0.1801 0.4206
68 O 0.4603 0.8844 0.4228
69 O 0.5531 0.9688 0.5827
70 O 0.5599 0.5543 0.0836
71 O 0.5959 0.7395 0.7637
72 O 0.5992 0.3197 0.4064
73 O 0.6011 0.1476 0.9056
74 O 0.6023 0.8817 0.9136
75 O 0.6026 0.5868 0.4116
76 O 0.6086 0.7441 0.2689
77 O 0.6803 0.4008 0.5936
78 O 0.6814 0.9912 0.0950
79 O 0.6962 0.0652 0.3181
80 O 0.6965 0.3020 0.1834
81 O 0.6980 0.3035 0.8166
82 O 0.7042 0.0686 0.6817
83 O 0.7134 0.2866 0.0000
84 O 0.7153 0.0697 0.4998
85 O 0.7408 0.5843 0.9114
86 O 0.7525 0.7334 0.4206
87 O 0.8179 0.6994 0.0836
88 O 0.8199 0.5534 0.5794
89 O 0.8460 0.8145 0.5907
90 O 0.8524 0.3989 0.0944
91 O 0.9179 0.8634 0.8258
92 O 0.9303 0.2847 0.5002
93 O 0.9314 0.2958 0.3183
94 O 0.9318 0.8333 0.1875
95 O 0.9348 0.3038 0.6819
96 O 0.9394 0.8502 0.0072

Values from the calculation:
Size of the total moment (μB/cell): 10.03

---

--- two ---
The following is a DFT calculation (GGA+U) of Li8V3P8O29 after structural relaxation.

a = 9.8785 Å, b = 9.8941 Å, c = 13.8224 Å
α = 89.69°, β = 89.66°, γ = 60.11°
Positions (direct):
1 Li 0.0000 0.0000 0.0000
2 Li 0.0014 0.4267 0.5516
3 Li 0.0154 0.5549 0.0577
4 Li 0.0968 0.6683 0.6766
5 Li 0.1082 0.2387 0.1810
6 Li 0.2316 0.0964 0.6785
7 Li 0.2386 0.6487 0.1814
8 Li 0.3339 0.3291 0.6131
9 Li 0.4230 0.0130 0.0563
10 Li 0.4280 0.5630 0.5510
11 Li 0.5551 0.4213 0.0561
12 Li 0.5653 0.0010 0.5524
13 Li 0.6450 0.1082 0.1789
14 Li 0.6617 0.6628 0.2370
15 Li 0.6627 0.6613 0.7349
16 Li 0.6692 0.2288 0.6782
17 V 0.3313 0.8975 0.8674
18 V 0.3319 0.7645 0.3685
19 V 0.7652 0.3298 0.8679
20 V 0.7684 0.8966 0.3677
21 V 0.8990 0.3302 0.3682
22 V 0.8989 0.7651 0.8673
23 P 0.0109 0.5623 0.2746
24 P 0.0150 0.4220 0.7737
25 P 0.1001 0.2413 0.9617
26 P 0.1026 0.6449 0.4604
27 P 0.2399 0.6524 0.9608
28 P 0.2455 0.1023 0.4611
29 P 0.4207 0.5577 0.7727
30 P 0.4243 0.0096 0.2748
31 P 0.5610 0.0142 0.7738
32 P 0.5621 0.4209 0.2743
33 P 0.6454 0.2431 0.4605
34 P 0.6523 0.0973 0.9609
35 P 0.6653 0.6653 0.9926
36 P 0.6676 0.6659 0.4934
37 P 0.9964 0.9977 0.7417
38 P 0.9991 0.9944 0.2417
39 O 0.0005 0.1424 0.2768
40 O 0.9998 0.4133 0.2716
41 O 0.0006 0.8440 0.7878
42 O 0.0026 0.5839 0.7746
43 O 0.0793 0.6610 0.9604
44 O 0.0831 0.3360 0.0504
45 O 0.0845 0.2508 0.4593
46 O 0.0851 0.5832 0.1846
47 O 0.1019 0.5551 0.5503
48 O 0.1080 0.3308 0.6855
49 O 0.1135 0.3335 0.8683
50 O 0.1197 0.5411 0.3663
51 O 0.1417 0.0037 0.7803
52 O 0.1442 0.8435 0.2783
53 O 0.2139 0.8185 0.9466
54 O 0.2370 0.9541 0.4503
55 O 0.2484 0.6614 0.4610
56 O 0.2525 0.0835 0.9615
57 O 0.3277 0.5605 0.6845
58 O 0.3297 0.5484 0.8674
59 O 0.3310 0.0895 0.1854
60 O 0.3325 0.5714 0.0497
61 O 0.3347 0.1066 0.5503
62 O 0.3358 0.1170 0.3668
63 O 0.4109 0.5795 0.2730
64 O 0.4145 0.9982 0.7719
65 O 0.4416 0.7013 0.7830
66 O 0.4501 0.8437 0.2892
67 O 0.5207 0.8160 0.9541
68 O 0.5235 0.6562 0.4577
69 O 0.5426 0.3305 0.3661
70 O 0.5456 0.1153 0.8682
71 O 0.5483 0.3299 0.5495
72 O 0.5665 0.1016 0.6847
73 O 0.5781 0.0760 0.0504
74 O 0.5808 0.3260 0.1849
75 O 0.5808 0.4080 0.7733
76 O 0.5855 0.9995 0.2740
77 O 0.6597 0.8200 0.4500
78 O 0.6620 0.2471 0.9632
79 O 0.6623 0.5187 0.9547
80 O 0.6629 0.0792 0.4586
81 O 0.6655 0.6793 0.6025
82 O 0.6750 0.6643 0.1011
83 O 0.7013 0.4479 0.2914
84 O 0.7084 0.8512 0.7864
85 O 0.8005 0.2387 0.4518
86 O 0.8164 0.6650 0.9482
87 O 0.8181 0.9558 0.9427
88 O 0.8214 0.5229 0.4579
89 O 0.8442 0.1404 0.7813
90 O 0.8452 0.7044 0.2928
91 O 0.8477 0.9950 0.2869
92 O 0.8507 0.4417 0.7824
93 O 0.9510 0.8012 0.4484
94 O 0.9608 0.2139 0.9460
95 O 0.9847 0.9933 0.1331
96 O 0.9967 0.9841 0.6342

Values from the calculation:
Size of the total moment (μB/cell): 10.00

---

--- three ---
The following is a DFT calculation (GGA+U) of Li8V3P8O29 after structural relaxation.

a = 9.9064 Å, b = 9.9064 Å, c = 13.8593 Å
α = 90.07°, β = 90.07°, γ = 59.98°
Positions (direct):
1 Li 0.0031 0.9969 0.0000
2 Li 0.0154 0.4245 0.0598
3 Li 0.0167 0.5572 0.5567
4 Li 0.1054 0.6517 0.1832
5 Li 0.1078 0.2410 0.6808
6 Li 0.2410 0.1078 0.1808
7 Li 0.2408 0.6481 0.6836
8 Li 0.4245 0.0154 0.5598
9 Li 0.4250 0.5589 0.0570
10 Li 0.5572 0.0167 0.0567
11 Li 0.5589 0.4250 0.5570
12 Li 0.6481 0.2408 0.1836
13 Li 0.6517 0.1054 0.6832
14 Li 0.6625 0.6700 0.7403
15 Li 0.6700 0.6625 0.2403
16 Li 0.9969 0.0031 0.5000
17 V 0.3317 0.7632 0.8699
18 V 0.3325 0.9011 0.3700
19 V 0.7632 0.3317 0.3699
20 V 0.7628 0.9013 0.8705
21 V 0.9011 0.3325 0.8700
22 V 0.9013 0.7628 0.3705
23 P 0.0018 0.9968 0.2425
24 P 0.0070 0.5665 0.7767
25 P 0.0085 0.4218 0.2775
26 P 0.0973 0.6571 0.9633
27 P 0.0992 0.2415 0.4630
28 P 0.2415 0.0992 0.9630
29 P 0.2432 0.6565 0.4641
30 P 0.4212 0.5668 0.2765
31 P 0.4218 0.0085 0.7775
32 P 0.5665 0.0070 0.2767
33 P 0.5668 0.4212 0.7765
34 P 0.6571 0.0973 0.4633
35 P 0.6565 0.2432 0.9641
36 P 0.6628 0.6671 0.4978
37 P 0.6671 0.6628 0.9978
38 P 0.9968 0.0018 0.7425
39 O 0.0019 0.4126 0.7763
40 O 0.0053 0.5784 0.2773
41 O 0.0046 0.8470 0.2789
42 O 0.0184 0.9957 0.1347
43 O 0.0784 0.5818 0.0526
44 O 0.0825 0.2528 0.9636
45 O 0.0835 0.3272 0.1882
46 O 0.0840 0.3356 0.5520
47 O 0.0852 0.6634 0.4653
48 O 0.0863 0.5806 0.6876
49 O 0.1101 0.5518 0.8704
50 O 0.1151 0.3298 0.3698
51 O 0.1454 0.8523 0.7780
52 O 0.1532 0.9960 0.2885
53 O 0.2128 0.9619 0.9472
54 O 0.2177 0.8235 0.4483
55 O 0.2514 0.6592 0.9630
56 O 0.2528 0.0825 0.4636
57 O 0.3272 0.0835 0.6882
58 O 0.3278 0.5835 0.1874
59 O 0.3298 0.1151 0.8698
60 O 0.3317 0.5539 0.3702
61 O 0.3356 0.0840 0.0520
62 O 0.3372 0.5798 0.5532
63 O 0.4126 0.0019 0.2763
64 O 0.4152 0.5791 0.7760
65 O 0.4474 0.7080 0.2921
66 O 0.4520 0.8419 0.7956
67 O 0.5118 0.8173 0.4514
68 O 0.5196 0.6604 0.9622
69 O 0.5518 0.1101 0.3704
70 O 0.5539 0.3317 0.8702
71 O 0.5784 0.0053 0.7773
72 O 0.5791 0.4152 0.2760
73 O 0.5798 0.3372 0.0532
74 O 0.5806 0.0863 0.1876
75 O 0.5818 0.0784 0.5526
76 O 0.5835 0.3278 0.6874
77 O 0.6461 0.6837 0.6056
78 O 0.6592 0.2514 0.4630
79 O 0.6604 0.5196 0.4622
80 O 0.6634 0.0852 0.9653
81 O 0.6662 0.8123 0.9620
82 O 0.6837 0.6461 0.1056
83 O 0.7036 0.8406 0.2915
84 O 0.7080 0.4474 0.7921
85 O 0.8123 0.6662 0.4620
86 O 0.8173 0.5118 0.9514
87 O 0.8235 0.2177 0.9483
88 O 0.8243 0.9613 0.4462
89 O 0.8406 0.7036 0.7915
90 O 0.8419 0.4520 0.2956
91 O 0.8470 0.0046 0.7789
92 O 0.8523 0.1454 0.2780
93 O 0.9613 0.8243 0.9462
94 O 0.9619 0.2128 0.4472
95 O 0.9957 0.0184 0.6347
96 O 0.9960 0.1532 0.7885

Values from the calculation:
Size of the total moment (μB/cell): 10.00

---

--- four ---
The following is a DFT calculation (GGA+U) of Li8V3P8O29 after structural relaxation.

a = 9.8764 Å, b = 9.8825 Å, c = 13.8308 Å
α = 89.38°, β = 89.70°, γ = 60.15°
Positions (direct):
1 Li 0.0000 0.0000 0.0000
2 Li 0.0011 0.5769 0.5484
3 Li 0.0028 0.4365 0.0528
4 Li 0.3283 0.7764 0.6765
5 Li 0.3322 0.3417 0.7328
6 Li 0.3344 0.3384 0.2360
7 Li 0.3381 0.9079 0.1787
8 Li 0.4331 0.0000 0.5505
9 Li 0.4386 0.5773 0.0537
10 Li 0.5715 0.0048 0.0515
11 Li 0.5750 0.4383 0.5506
12 Li 0.6750 0.6766 0.6122
13 Li 0.7163 0.6915 0.1255
14 Li 0.7653 0.3490 0.1801
15 Li 0.7705 0.9091 0.6753
16 Li 0.9043 0.3361 0.6758
17 V 0.1012 0.6780 0.3623
18 V 0.1023 0.2386 0.8651
19 V 0.2311 0.1096 0.3690
20 V 0.2320 0.6728 0.8665
21 V 0.6678 0.2366 0.3659
22 V 0.6689 0.1078 0.8642
23 P 0.0017 0.0077 0.7403
24 P 0.0060 0.0071 0.2420
25 P 0.3321 0.3426 0.4893
26 P 0.3342 0.3381 0.9914
27 P 0.3500 0.9010 0.9590
28 P 0.3558 0.7569 0.4597
29 P 0.4411 0.9905 0.7702
30 P 0.4420 0.5848 0.2727
31 P 0.5749 0.9885 0.2697
32 P 0.5783 0.4474 0.7726
33 P 0.7535 0.8963 0.4559
34 P 0.7594 0.3534 0.9608
35 P 0.8905 0.7586 0.9562
36 P 0.8932 0.3621 0.4589
37 P 0.9836 0.5858 0.7675
38 P 0.9857 0.4507 0.2728
39 O 0.0077 0.5933 0.2730
40 O 0.0078 0.8588 0.2905
41 O 0.0163 0.9939 0.1335
42 O 0.0167 0.0002 0.6328
43 O 0.0425 0.7704 0.9488
44 O 0.0449 0.2073 0.4498
45 O 0.1463 0.3027 0.2827
46 O 0.1488 0.5675 0.7826
47 O 0.1529 0.8560 0.7876
48 O 0.1539 0.0031 0.2815
49 O 0.1798 0.4865 0.4455
50 O 0.1838 0.3464 0.9509
51 O 0.1852 0.0428 0.9480
52 O 0.2031 0.7536 0.4500
53 O 0.2967 0.5642 0.2865
54 O 0.2975 0.1547 0.7815
55 O 0.3212 0.3501 0.5987
56 O 0.3314 0.3433 0.0998
57 O 0.3335 0.9213 0.4602
58 O 0.3369 0.7508 0.9584
59 O 0.3379 0.4890 0.9488
60 O 0.3440 0.1880 0.4534
61 O 0.4109 0.0069 0.2748
62 O 0.4153 0.5968 0.7737
63 O 0.4315 0.6781 0.1825
64 O 0.4359 0.9012 0.6829
65 O 0.4377 0.9051 0.0467
66 O 0.4504 0.6684 0.5489
67 O 0.4529 0.8880 0.8649
68 O 0.4599 0.6728 0.3646
69 O 0.4768 0.3521 0.4531
70 O 0.4810 0.1897 0.9533
71 O 0.5557 0.3044 0.7819
72 O 0.5596 0.1506 0.2809
73 O 0.5889 0.4231 0.2710
74 O 0.5902 0.0024 0.7689
75 O 0.6563 0.9023 0.1788
76 O 0.6657 0.4389 0.0490
77 O 0.6673 0.4579 0.8667
78 O 0.6667 0.8861 0.5458
79 O 0.6679 0.8794 0.3617
80 O 0.6701 0.4459 0.6842
81 O 0.7494 0.3419 0.4583
82 O 0.7487 0.9233 0.9581
83 O 0.7569 0.0477 0.4484
84 O 0.7808 0.1888 0.9484
85 O 0.8556 0.1554 0.2752
86 O 0.8567 0.9996 0.7778
87 O 0.8764 0.6836 0.8562
88 O 0.8770 0.4673 0.3644
89 O 0.8862 0.6592 0.0370
90 O 0.8892 0.4548 0.5479
91 O 0.8949 0.4519 0.1832
92 O 0.9002 0.6757 0.6768
93 O 0.9191 0.3438 0.9599
94 O 0.9193 0.7522 0.4550
95 O 0.9959 0.1569 0.7815
96 O 0.9974 0.4248 0.7694

Values from the calculation:
Size of the total moment (μB/cell): 9.99

---

Name the least stable of them. four.